Density functional theory data (r²SCAN) for Re2S2O13 after structural relaxation.

Values from the calculation:
ρ	4.4	g/cm³
energy of formation from the pure elements	-1.408	eV per atom
V	14.34	Å³/atom
crystal system	orthorhombic

Cell: 8.4140 9.6376 6.0114 Å, 90.00 90.00 90.00°
Space group Pba2 (No. 32)
Symmetry-distinct sites (fractional):
Re  0.1807  0.1057  0.0000 x4
S  0.1330  0.8215  0.3275 x4
O  0.0000  0.0000  0.9236 x2
O  0.0378  0.1494  0.2987 x4
O  0.1154  0.2578  0.8925 x4
O  0.1575  0.6851  0.1923 x4
O  0.1762  0.8010  0.5513 x4
O  0.1924  0.5451  0.8041 x4
O  0.2292  0.9273  0.2101 x4


Density functional theory data (r²SCAN) for Sm3Re2O9 after structural relaxation.

Values from the calculation:
ρ	8.8	g/cm³
energy of formation from the pure elements	-2.844	eV per atom
V	13.03	Å³/atom
crystal system	triclinic

Cell: 5.5208 6.8251 10.8761 Å, 76.75 75.47 68.55°
Space group P-1 (No. 2)
Symmetry-distinct sites (fractional):
Sm  0.0124  0.2109  0.2695 x2
Sm  0.2308  0.1552  0.8839 x2
Sm  0.2990  0.6050  0.3703 x2
Re  0.3456  0.1258  0.5679 x2
Re  0.4809  0.6133  0.9070 x2
O  0.0581  0.1153  0.7212 x2
O  0.0702  0.2053  0.4755 x2
O  0.1280  0.8128  0.9394 x2
O  0.1850  0.4957  0.2013 x2
O  0.2860  0.4225  0.5779 x2
O  0.3421  0.4734  0.8184 x2
O  0.3942  0.1673  0.0731 x2
O  0.4072  0.8071  0.5985 x2
O  0.4140  0.9240  0.3118 x2


Density functional theory data (r²SCAN) for Sm2ReO5 after structural relaxation.

Values from the calculation:
ρ	8.7	g/cm³
energy of formation from the pure elements	-3.040	eV per atom
V	13.47	Å³/atom
crystal system	tetragonal

Cell: 8.6493 8.6493 5.7606 Å, 90.00 90.00 90.00°
Space group P4/n (No. 85, origin choice 2)
Symmetry-distinct sites (fractional):
Sm  0.1000  0.6077  0.2493 x8
Re  0.2500  0.2500  0.1528 x2
Re  0.2500  0.2500  0.5428 x2
O  0.0494  0.3409  0.1001 x8
O  0.0497  0.1605  0.6044 x8
O  0.2500  0.7500  0.0000 x2
O  0.2500  0.7500  0.5000 x2


Calculated E_tot, -13.086; -20.542; -20.757 eV per atom (same order as the records).